RbNa3Li12Ti4O16 | r2SCAN | optimized geometry

Structure (POSCAR):
```
RbNa3Li12Ti4O16
1.0
-5.590 5.590 3.241
5.590 -5.590 3.241
5.590 5.590 -3.241
Rb Na Li Ti O
1 3 12 4 16
Direct
0.000 0.000 0.000
0.500 0.500 0.000
0.750 0.250 0.500
0.250 0.750 0.500
0.082 0.279 0.360
0.849 0.525 0.867
0.342 0.018 0.867
0.721 0.082 0.803
0.982 0.849 0.324
0.475 0.342 0.324
0.525 0.658 0.676
0.018 0.151 0.676
0.279 0.918 0.197
0.151 0.475 0.133
0.658 0.982 0.133
0.918 0.721 0.640
0.419 0.222 0.641
0.222 0.581 0.804
0.778 0.419 0.196
0.581 0.778 0.359
0.322 0.091 0.413
0.647 0.546 0.726
0.180 0.079 0.726
0.572 0.168 0.741
0.091 0.678 0.769
0.168 0.428 0.596
0.921 0.647 0.101
0.454 0.180 0.101
0.079 0.353 0.899
0.546 0.820 0.899
0.832 0.572 0.404
0.909 0.322 0.231
0.428 0.832 0.259
0.820 0.921 0.274
0.353 0.454 0.274
0.678 0.909 0.587
```

Its energy of formation is -2.545 eV per atom. Its space-group type is I4/m, No. 87.

=====

Na2LiYSi6O15 | r2SCAN | optimized geometry

Structure (POSCAR):
```
Na2LiYSi6O15
1.0
7.272 -8.721 0.000
7.272 8.721 0.000
0.000 0.000 10.375
Na Li Y Si O
8 4 4 24 60
Direct
0.576 0.424 0.261
0.924 0.076 0.761
0.424 0.576 0.739
0.076 0.924 0.239
0.035 0.465 0.250
0.465 0.035 0.750
0.965 0.535 0.750
0.535 0.965 0.250
0.245 0.245 0.000
0.745 0.745 0.500
0.755 0.755 0.000
0.255 0.255 0.500
0.340 0.160 0.250
0.160 0.340 0.750
0.660 0.840 0.750
0.840 0.660 0.250
0.769 0.017 0.475
0.532 0.689 0.315
0.811 0.968 0.185
0.689 0.532 0.685
0.032 0.189 0.185
0.468 0.311 0.685
0.189 0.032 0.815
0.311 0.468 0.315
0.017 0.769 0.525
0.483 0.731 0.025
0.968 0.811 0.815
0.731 0.483 0.975
0.983 0.231 0.475
0.517 0.269 0.975
0.910 0.303 0.961
0.269 0.517 0.025
0.090 0.697 0.039
0.410 0.803 0.539
0.697 0.090 0.961
0.803 0.410 0.461
0.197 0.590 0.539
0.303 0.910 0.039
0.590 0.197 0.461
0.231 0.983 0.525
0.396 0.826 0.991
0.564 0.436 0.684
0.064 0.936 0.816
0.436 0.564 0.316
0.829 0.171 0.932
0.329 0.671 0.568
0.171 0.829 0.068
0.671 0.329 0.432
0.903 0.097 0.492
0.597 0.403 0.992
0.097 0.903 0.508
0.403 0.597 0.008
0.018 0.652 0.166
0.482 0.848 0.666
0.652 0.018 0.834
0.848 0.482 0.334
0.982 0.348 0.834
0.518 0.152 0.334
0.348 0.982 0.166
0.152 0.518 0.666
0.006 0.713 0.915
0.494 0.787 0.415
0.713 0.006 0.085
0.787 0.494 0.585
0.976 0.746 0.675
0.506 0.213 0.585
0.287 0.994 0.915
0.213 0.506 0.415
0.839 0.840 0.846
0.661 0.660 0.346
0.840 0.839 0.154
0.660 0.661 0.654
0.161 0.160 0.154
0.339 0.340 0.654
0.160 0.161 0.846
0.340 0.339 0.346
0.174 0.604 0.991
0.326 0.896 0.491
0.604 0.174 0.009
0.896 0.326 0.509
0.826 0.396 0.009
0.674 0.104 0.509
0.936 0.064 0.184
0.104 0.674 0.491
0.255 0.406 0.930
0.245 0.094 0.430
0.406 0.255 0.070
0.094 0.245 0.570
0.745 0.594 0.070
0.755 0.906 0.570
0.594 0.745 0.930
0.906 0.755 0.430
0.246 0.476 0.175
0.254 0.024 0.675
0.476 0.246 0.825
0.024 0.254 0.325
0.754 0.524 0.825
0.746 0.976 0.325
0.524 0.754 0.175
0.994 0.287 0.085
```

Its energy of formation is -3.016 eV per atom. Its space-group type is Cmce, No. 64.

=====

Among the records above, which one has the highest energy of formation? RbNa3Li12Ti4O16